(1)
# V2NiO7

Crystalline V2NiO7 at its relaxed geometry (PBE with a Hubbard U, the Materials Project).

```
20
Lattice="5.2226 -0.0624 -2.7694 0.0049 5.7101 -3.5866 3.9195 4.5140 5.0429" Properties=species:S:1:pos:R:3 pbc="T T T"
Ni 4.7221 6.5765 -0.1709
Ni 4.4250 3.5851 -1.1422
O 6.7495 4.9070 2.2926
O 4.8644 7.3478 1.7265
O 4.2827 2.8138 -3.0397
O 5.0585 8.3484 -1.1251
O 4.0885 1.8132 -0.1881
O 2.4044 3.8794 -1.1887
O 6.7427 6.2822 -0.1245
O 4.5090 4.6339 0.6380
O 4.6380 5.5277 -1.9512
O 2.8706 6.8265 -0.1862
O 5.1960 5.1476 -4.7627
O 6.2764 3.3351 -1.1270
O 2.3976 5.2546 -3.6058
O 3.9510 5.0140 3.4495
V 1.4080 4.2455 -2.5024
V 7.7390 5.9161 1.1892
V 4.1017 5.8752 -3.5587
V 5.0454 4.2864 2.2455
```

(2)
# VNiO3

Crystalline VNiO3 at its relaxed geometry (PBE with a Hubbard U, the Materials Project).

```
10
Lattice="-3.1492 -0.7394 3.8795 2.2084 -0.3056 5.0260 0.0527 4.4608 -2.3463" Properties=species:S:1:pos:R:3 pbc="T T T"
O -0.6340 3.4930 4.4683
O -1.2078 2.7135 1.6524
O -2.3424 1.2082 3.7309
O -0.3633 0.0696 2.1064
O 0.2799 0.5711 4.9680
O 1.5624 2.2160 2.7129
Ni -1.6704 -0.1006 5.2027
Ni 0.8324 3.5291 1.4060
V 1.0134 2.3412 4.5686
V -1.9108 1.0380 1.9797
```

(3)
# NiWO4

Crystalline NiWO4 at its relaxed geometry (PBE with a Hubbard U, the Materials Project).

```
12
Lattice="-4.5441 0.8298 -0.7146 -1.1253 -3.5051 3.4233 0.0821 3.9963 4.1188" Properties=species:S:1:pos:R:3 pbc="T T T"
O -3.4450 1.7808 1.3558
O -2.1423 -0.4598 5.4716
O -1.5999 0.3095 2.7466
O -3.9874 1.0115 4.0808
O -1.4079 2.2337 4.9845
O -4.1794 -0.9126 1.8429
O -2.0347 -2.6416 3.4777
O -3.5526 3.9626 3.3497
W -0.7761 0.6721 5.9696
W -0.2670 -0.1809 1.5725
Ni -2.4996 2.1583 3.1984
Ni -3.0877 -0.8373 3.6290
```

(4)
# YNiW2O8

Crystalline YNiW2O8 at its relaxed geometry (PBE with a Hubbard U, the Materials Project).

```
24
Lattice="-2.9931 -3.1878 4.1977 4.1796 -0.0965 2.9069 0.8933 8.4859 7.0812" Properties=species:S:1:pos:R:3 pbc="T T T"
W 2.5923 -0.4991 2.9276
W 1.0432 1.6182 9.2673
W -0.5126 5.7006 11.2582
W 1.0366 3.5833 4.9186
Y 1.7513 5.2421 8.1787
Y 0.3285 -0.0405 6.0072
O 1.2508 0.6106 2.1304
O 1.8472 3.2730 9.4380
O 3.7052 4.6129 7.1438
O 1.1313 7.2918 7.3429
O 0.6581 3.9942 6.6585
O 2.2616 -0.0530 4.6899
O 2.8456 2.9714 5.0603
O -0.7658 2.2301 9.1255
O 0.8290 4.5909 12.0555
O -0.6232 -1.1377 4.2885
O -0.1818 5.2545 9.4960
O 1.4217 1.2073 7.5274
O 0.2325 1.9286 4.7479
O 2.7030 6.3392 9.8974
O 0.9485 -2.0903 6.8429
O -1.6254 0.5886 7.0420
Ni -0.6066 1.2376 2.9342
Ni -1.4932 4.0605 8.3447
```

(5)
# Zn2NiWO6

Crystalline Zn2NiWO6 at its relaxed geometry (PBE with a Hubbard U, the Materials Project).

```
20
Lattice="-3.5739 -1.4995 3.5416 3.5581 0.5811 3.8367 -2.2680 7.3498 0.9905" Properties=species:S:1:pos:R:3 pbc="T T T"
Zn -0.4139 1.3584 4.0139
Zn -1.7759 4.5383 7.9611
Zn -0.5079 1.8930 0.4077
Zn -1.8699 5.0730 4.3548
O -1.9917 6.6584 2.1830
O -0.2921 -0.2270 6.1858
O -0.9003 6.8565 4.6334
O -0.9802 2.5253 6.5269
O -3.5768 4.5495 3.2381
O -2.8065 4.6145 6.1261
O -0.0944 4.1233 4.4195
O -1.3835 -0.4251 3.7353
O 1.2929 1.8819 5.1307
O 0.5228 1.8168 2.2427
O -1.3035 3.9060 1.8419
O -2.1895 2.3080 3.9493
Ni -1.7869 -0.7493 1.7709
Ni -2.9288 2.4654 5.9549
W -2.9208 2.9252 2.2660
W 1.7789 0.2905 1.9183
```

(6)
# Zn2NiWO6

Crystalline Zn2NiWO6 at its relaxed geometry (PBE with a Hubbard U, the Materials Project).

```
10
Lattice="5.4034 0.0000 0.0000 1.3305 5.2770 0.0000 2.0016 2.1205 5.0229" Properties=species:S:1:pos:R:3 pbc="T T T"
O 1.2386 1.6194 0.1236
O 6.5350 4.8548 1.6521
O 7.9100 6.3862 3.6487
O 4.9601 6.3083 4.6629
O 3.5256 3.0134 2.4099
O 6.0544 3.3608 4.5650
Zn 4.9067 2.1216 3.3921
Zn 2.7548 4.6003 3.1023
Ni 2.9993 2.4631 0.6433
W 2.1717 2.2081 4.9962
```

(7)
# YNi2O4

Crystalline YNi2O4 at its relaxed geometry (PBE with a Hubbard U, the Materials Project).

```
14
Lattice="4.4428 -2.6037 3.4655 -0.2762 0.3687 6.1899 -1.2532 -5.0675 3.3580" Properties=species:S:1:pos:R:3 pbc="T T T"
Ni -0.2624 -3.4466 3.3057
Ni 0.2260 -0.7284 4.7216
Ni 2.5856 -2.2146 3.3594
Ni 0.3642 -0.9128 1.6267
O 1.0444 -2.6178 4.6651
O 3.3067 -3.6418 9.7008
O 2.5973 -6.5102 11.6016
O 0.3350 -5.4863 6.5660
O 3.5592 -4.0916 6.6268
O 2.7537 -6.7190 8.0978
O 0.0824 -5.0364 9.6400
O 0.8880 -2.4091 8.1689
Y 2.1850 -5.4768 9.7600
Y 1.4567 -3.6512 6.5067
```

(8)
# Y2Ni3O9

Crystalline Y2Ni3O9 at its relaxed geometry (PBE with a Hubbard U, the Materials Project).

```
56
Lattice="-3.4929 0.6559 -3.7597 -4.3553 -5.2126 3.1369 -7.2437 11.2872 8.6986" Properties=species:S:1:pos:R:3 pbc="T T T"
O -5.9634 4.7618 0.7468
O -6.5522 2.3985 4.2724
O -10.1105 3.9056 5.8365
O -10.0864 2.2970 3.1972
O -8.5048 0.0616 5.6787
O -7.4945 3.9243 6.1520
O -3.4103 1.1088 -2.4312
O -6.5872 6.6688 2.3971
O -7.3551 6.5336 5.1063
O -10.1006 6.4569 4.7905
O -7.5223 8.2655 7.7521
O -6.1056 0.7432 0.8428
O -9.1286 1.9686 7.3289
O -9.7291 7.9585 9.1006
O -7.7368 0.1969 2.9695
O -6.7600 -1.8432 4.5592
O -4.9914 0.2736 3.2853
O -10.9400 8.3973 6.5737
O -4.1520 -1.6668 1.5021
O -7.5697 -1.5350 0.3236
O -11.6817 5.6217 10.5069
O -8.3319 8.5737 3.5166
O -4.9814 2.8249 2.2392
O -12.4967 7.7131 8.8506
O -8.5397 4.3320 3.8034
O -12.4251 6.0407 6.1709
O -10.7550 3.8705 8.5069
O -4.3370 2.8600 -0.4311
O -9.3059 10.3530 5.3967
O -2.6668 0.6897 1.9049
O -5.0056 4.4334 4.8786
O -8.9863 5.9873 7.2330
O -7.5974 2.8061 1.9237
O -5.7860 -3.6225 2.6790
O -2.5953 -0.9827 -0.7748
O -5.3628 -1.2281 -1.0249
Y -6.3111 -1.4664 2.1851
Y -8.7809 8.1969 5.8907
Y -8.6844 2.2152 5.0077
Y -6.4075 4.5153 3.0681
Y -8.3212 3.8745 8.2693
Y -6.7708 2.8559 -0.1935
Y -11.6652 10.4660 5.6566
Y -3.4267 -3.7356 2.4191
Ni -8.7447 5.2467 5.4629
Ni -1.7465 0.3279 -1.8799
Ni -8.5068 -1.1009 4.1683
Ni -6.5852 7.8313 3.9075
Ni -5.7995 3.0373 5.9178
Ni -6.3472 1.4837 2.6128
Ni -8.2392 6.8025 8.8242
Ni -10.3987 4.2179 10.3797
Ni -3.6219 5.6436 4.3493
Ni -3.9241 -2.2784 -0.3114
Ni -6.8528 -0.0720 -0.7485
Ni -4.6932 2.5126 -2.3039
```

(9)
# YNi2O4

Crystalline YNi2O4 at its relaxed geometry (PBE with a Hubbard U, the Materials Project).

```
14
Lattice="-2.8054 2.8054 4.8052 2.8054 -2.8054 4.8052 2.8054 2.8054 -4.8052" Properties=species:S:1:pos:R:3 pbc="T T T"
O -0.8312 1.6193 4.3261
O 1.1861 -0.8312 1.9235
O 1.1861 1.9742 0.4791
O 3.6366 1.1861 -0.4791
O 4.4247 0.8312 1.9235
O 3.6366 -1.6193 2.8818
O 1.9742 1.6193 2.8818
O 1.6193 0.8312 5.2844
Ni 1.4027 2.8054 -1.2013
Ni 1.4027 0.0000 3.6039
Ni 2.8054 1.4027 1.2013
Ni 0.0000 1.4027 6.0066
Y 0.0000 0.0000 0.0000
Y 0.0000 2.8054 2.4026
```

(10)
# YNi2O4

Crystalline YNi2O4 at its relaxed geometry (PBE with a Hubbard U, the Materials Project).

```
14
Lattice="-4.3385 -3.6590 2.4689 -2.3932 -4.6081 -3.3680 1.3875 -5.8631 1.4159" Properties=species:S:1:pos:R:3 pbc="T T T"
Ni 0.6938 -2.9316 0.7079
Ni -1.1966 -2.3041 -1.6840
Ni 0.0000 0.0000 0.0000
Ni -2.1692 -1.8295 1.2345
O -0.4744 -6.6512 0.9235
O -1.6277 -8.7271 -1.0030
O -1.2744 -3.3696 0.1232
O -4.0698 -10.7606 0.3935
O -2.7292 -8.1896 2.3019
O -4.8698 -7.4790 -0.4067
O -3.7165 -5.4032 1.5197
O -2.6151 -5.9406 -1.7851
Y -3.3182 -8.7733 0.3209
Y -2.0260 -5.3569 0.1959
```

(11)
# YNi2O4

Crystalline YNi2O4 at its relaxed geometry (PBE with a Hubbard U, the Materials Project).

```
14
Lattice="2.7253 -4.3467 3.4976 4.7507 3.9223 0.7747 -5.7692 1.6806 1.5640" Properties=species:S:1:pos:R:3 pbc="T T T"
O 2.7897 0.5251 4.0283
O -2.4677 -0.6098 4.4171
O -3.9812 1.5908 2.5576
O -1.0828 0.7311 1.8080
O 5.6880 -0.3347 3.2787
O 0.2409 -1.4449 3.5664
O 4.1746 1.8659 1.4192
O 1.4660 2.7011 2.2700
Ni -2.8846 0.8403 0.7820
Ni 0.1524 -0.7184 1.7874
Ni 2.3754 1.9611 0.3874
Ni 1.5544 1.9745 4.0489
Y -0.5092 2.8014 1.1694
Y 3.7380 -0.2122 2.1361
```

(12)
# Y2Ni2O7

Crystalline Y2Ni2O7 at its relaxed geometry (PBE with a Hubbard U, the Materials Project).

```
22
Lattice="-5.8904 -3.2090 -1.9413 -5.3752 3.7379 -2.4287 -1.7232 -0.3464 -6.7582" Properties=species:S:1:pos:R:3 pbc="T T T"
O -7.7944 -0.0417 -8.8335
O -6.7409 1.4382 -7.0426
O -6.0376 1.5795 -4.2845
O -10.1983 -1.3514 -9.6257
O -3.2472 0.0456 -2.7820
O -4.5472 -0.0873 -6.0514
O 0.0000 0.0000 0.0000
O -9.4951 -1.2100 -6.8676
O -11.6888 0.3155 -7.8588
O -6.9511 -1.3970 -6.8437
O -9.2848 1.6251 -7.0665
O -8.4416 0.2699 -5.0767
O -9.9881 1.4838 -9.8246
O -6.2479 -1.2556 -4.0856
Y -2.4852 -0.1504 -4.7701
Y -4.3112 1.8918 -2.6054
Y -1.6236 0.0228 -1.3910
Y -4.5688 -1.5817 -2.3617
Ni -5.1728 1.7186 -5.9845
Ni -5.4304 -1.7549 -5.7408
Ni -7.2564 0.2873 -3.5760
Ni -8.1180 0.1141 -6.9551
```

| no. | formation energy (meV per atom) |
| --- | --- |
| 1 | -1708 |
| 2 | -1918 |
| 3 | -1900 |
| 4 | -2321 |
| 5 | -1772 |
| 6 | -1680 |
| 7 | -1984 |
| 8 | -1678 |
| 9 | -1932 |
| 10 | -1983 |
| 11 | -1881 |
| 12 | -2189 |